(1)
The following is a DFT calculation (PBE+U) of a relaxed Li4Mn3Nb2Co3O16 crystal.

Lattice parameters (Å, degrees): 5.872 5.966 9.707 91.32 89.78 119.28
Sites, in units of the cell vectors:
Li 0.340 0.684 0.100
Li 0.004 0.009 0.007
Li 0.995 0.984 0.510
Li 0.661 0.326 0.597
Mn 0.174 0.346 0.785
Mn 0.336 0.167 0.283
Mn 0.831 0.166 0.284
Nb 0.331 0.663 0.509
Nb 0.688 0.372 0.006
Co 0.176 0.837 0.786
Co 0.662 0.840 0.785
Co 0.827 0.653 0.285
O 0.136 0.790 0.408
O 0.465 0.955 0.647
O 0.323 0.669 0.886
O 0.015 0.007 0.700
O 0.992 0.982 0.196
O 0.655 0.793 0.410
O 0.029 0.490 0.662
O 0.461 0.493 0.661
O 0.852 0.684 0.903
O 0.153 0.307 0.405
O 0.538 0.508 0.156
O 0.970 0.506 0.157
O 0.667 0.335 0.385
O 0.340 0.194 0.909
O 0.524 0.046 0.160
O 0.855 0.194 0.910

Computed properties:
**Magnetic moment**: 16.00 Bohr magnetons per cell
**ΔE_f**: -60.50 eV/f.u.
**Energy with MP2020 corrections**: -216.32 eV/cell

---

(2)
The following is a DFT calculation (PBE+U) of a relaxed Li4Mn2Nb3Co3O16 crystal.

Lattice parameters (Å, degrees): 5.976 5.976 9.850 88.32 88.32 60.47
Sites, in units of the cell vectors:
Li 0.339 0.339 0.098
Li 0.981 0.981 0.998
Li 0.967 0.967 0.511
Li 0.671 0.671 0.621
Mn 0.349 0.349 0.522
Mn 0.669 0.669 0.991
Nb 0.175 0.175 0.791
Nb 0.838 0.340 0.288
Nb 0.340 0.838 0.288
Co 0.667 0.171 0.781
Co 0.171 0.667 0.781
Co 0.827 0.827 0.287
O 0.666 0.169 0.402
O 0.490 0.490 0.678
O 0.338 0.338 0.893
O 0.002 0.002 0.687
O 0.006 0.006 0.184
O 0.169 0.666 0.402
O 0.489 0.051 0.657
O 0.051 0.489 0.657
O 0.842 0.842 0.881
O 0.155 0.155 0.402
O 0.974 0.503 0.164
O 0.503 0.974 0.164
O 0.652 0.652 0.407
O 0.844 0.310 0.891
O 0.515 0.515 0.174
O 0.310 0.844 0.891

Computed properties:
**Magnetic moment**: 20.00 Bohr magnetons per cell
**ΔE_f**: -62.17 eV/f.u.
**Energy with MP2020 corrections**: -218.93 eV/cell

---

(3)
The following is a DFT calculation (PBE+U) of a relaxed Li4MnCo2NiO8 crystal.

Lattice parameters (Å, degrees): 2.949 5.084 9.932 79.14 90.00 90.00
Sites, in units of the cell vectors:
Li 0.000 0.742 0.260
Li 0.000 0.258 0.740
Li 0.500 0.245 0.267
Li 0.500 0.755 0.733
Mn 0.500 0.000 0.000
Co 0.500 0.500 0.500
Co 0.000 0.500 0.000
Ni 0.000 0.000 0.500
O 0.500 0.645 0.111
O 0.500 0.150 0.614
O 0.000 0.110 0.109
O 0.000 0.625 0.619
O 0.500 0.355 0.889
O 0.500 0.850 0.386
O 0.000 0.890 0.891
O 0.000 0.375 0.381

Computed properties:
**Magnetic moment**: 9.00 Bohr magnetons per cell
**Energy above the most stable polymorph in this dataset**: 15 meV per atom
**ΔE_f**: -27.98 eV/f.u.
**Energy with MP2020 corrections**: -104.36 eV/cell

---

(4)
The following is a DFT calculation (PBE+U) of a relaxed Li4MnCo2NiO8 crystal.

Lattice parameters (Å, degrees): 5.163 5.163 10.128 79.91 79.91 33.24
Sites, in units of the cell vectors:
Li 0.997 0.997 0.004
Li 0.500 0.500 0.247
Li 0.997 0.997 0.487
Li 0.504 0.504 0.758
Mn 0.250 0.250 0.624
Co 0.746 0.746 0.886
Co 0.252 0.252 0.134
Ni 0.752 0.752 0.371
O 0.871 0.871 0.183
O 0.365 0.365 0.451
O 0.856 0.856 0.686
O 0.365 0.365 0.937
O 0.640 0.640 0.571
O 0.138 0.138 0.803
O 0.635 0.635 0.055
O 0.131 0.131 0.303

Computed properties:
**Magnetic moment**: 13.04 Bohr magnetons per cell
**Energy above the most stable polymorph in this dataset**: 0 meV per atom
**ΔE_f**: -28.23 eV/f.u.
**Energy with MP2020 corrections**: -104.60 eV/cell

---

(5)
The following is a DFT calculation (PBE+U) of a relaxed Li4MnCo2NiO8 crystal.

Lattice parameters (Å, degrees): 19.287 19.287 19.287 8.70 8.70 8.70
Sites, in units of the cell vectors:
Li 0.000 0.000 0.000
Li 0.252 0.252 0.252
Li 0.499 0.499 0.499
Li 0.749 0.749 0.749
Mn 0.875 0.875 0.875
Co 0.125 0.125 0.125
Co 0.375 0.375 0.375
Ni 0.625 0.625 0.625
O 0.311 0.311 0.311
O 0.560 0.560 0.560
O 0.811 0.811 0.811
O 0.060 0.060 0.060
O 0.939 0.939 0.939
O 0.189 0.189 0.189
O 0.439 0.439 0.439
O 0.691 0.691 0.691

Computed properties:
**Magnetic moment**: 6.18 Bohr magnetons per cell
**Energy above the most stable polymorph in this dataset**: 63 meV per atom
**ΔE_f**: -27.22 eV/f.u.
**Energy with MP2020 corrections**: -103.60 eV/cell

---

(6)
The following is a DFT calculation (PBE+U) of a relaxed Li4MnCo2NiO8 crystal.

Lattice parameters (Å, degrees): 2.943 5.146 9.765 78.97 90.00 90.00
Sites, in units of the cell vectors:
Li 0.000 0.751 0.261
Li 0.500 0.000 0.000
Li 0.000 0.249 0.739
Li 0.500 0.500 0.500
Mn 0.000 0.500 0.000
Co 0.500 0.239 0.260
Co 0.500 0.761 0.740
Ni 0.000 0.000 0.500
O 0.500 0.602 0.113
O 0.000 0.843 0.879
O 0.500 0.098 0.630
O 0.000 0.376 0.367
O 0.500 0.398 0.887
O 0.000 0.624 0.633
O 0.500 0.902 0.370
O 0.000 0.157 0.121

Computed properties:
**Magnetic moment**: 13.00 Bohr magnetons per cell
**Energy above the most stable polymorph in this dataset**: 4 meV per atom
**ΔE_f**: -28.16 eV/f.u.
**Energy with MP2020 corrections**: -104.54 eV/cell